DFT (r2SCAN) results for a relaxed structure of PuO2.

Results
calculated formation energy: -3515 meV/atom

```
PuO2
1.0
5.053 0.000 0.000
0.000 5.053 0.000
0.000 0.000 3.591
Pu O
2 4
Direct
0.000 0.000 0.000 Pu
0.500 0.500 0.500 Pu
0.189 0.189 0.500 O
0.311 0.689 0.000 O
0.689 0.311 0.000 O
0.811 0.811 0.500 O
```

---

DFT (r2SCAN) results for a relaxed structure of TbInAu.

Results
calculated formation energy: -881 meV/atom

```
TbInAu
1.0
7.684 0.000 0.000
-3.842 6.655 0.000
0.000 0.000 4.029
Tb In Au
3 3 3
Direct
0.000 0.594 0.000 Tb
0.406 0.406 0.000 Tb
0.594 0.000 0.000 Tb
0.000 0.258 0.500 In
0.258 0.000 0.500 In
0.742 0.742 0.500 In
0.000 0.000 0.000 Au
0.333 0.667 0.500 Au
0.667 0.333 0.500 Au
```

---

DFT (r2SCAN) results for a relaxed structure of RbTcO4.

Results
calculated formation energy: -1891 meV/atom

```
RbTcO4
1.0
-2.896 2.896 6.625
2.896 -2.896 6.625
2.896 2.896 -6.625
Rb Tc O
2 2 8
Direct
0.375 0.125 0.250 Rb
0.625 0.875 0.750 Rb
0.125 0.375 0.750 Tc
0.875 0.625 0.250 Tc
0.091 0.232 0.425 O
0.166 0.591 0.359 O
0.268 0.193 0.859 O
0.307 0.666 0.075 O
0.693 0.334 0.925 O
0.732 0.807 0.141 O
0.834 0.409 0.641 O
0.909 0.768 0.575 O
```

---

Question: What is the calculated formation energy in the second record?
Answer: -881 meV/atom

---

Question: Look up the calculated formation energy of the first one.
Answer: -3515 meV/atom